Entry from Materials Project: crystalline CaLaMnFeO6 at its relaxed geometry (PBE+U).

abc: 5.489 5.507 9.466
angles: 90.00 125.39 90.00
Sites, in units of the cell vectors:
Ca 0.000 0.214 0.000
Ca 0.000 0.786 0.500
La 0.516 0.276 0.500
La 0.516 0.724 0.000
Mn 0.760 0.250 0.250
Mn 0.760 0.750 0.750
Fe 0.261 0.250 0.751
Fe 0.261 0.750 0.251
O 0.075 0.233 0.494
O 0.075 0.767 0.994
O 0.437 0.263 0.007
O 0.437 0.737 0.507
O 0.526 0.031 0.288
O 0.526 0.969 0.788
O 0.589 0.473 0.792
O 0.589 0.527 0.292
O 0.939 0.023 0.712
O 0.939 0.977 0.212
O 0.996 0.464 0.209
O 0.996 0.536 0.709

* E_form: -2.70 eV/atom
* VASP energy: -7.319 eV/atom
* crystal system: monoclinic
* space-group type: Pc, No. 7